A geometry-optimized La2Cu2O5 structure. Source: the Materials Project database, functional PBE.

Results
Total energy, eV per cell: -123.43
Symmetry: No. 46
E (MP2020), eV for the cell shown: -130.30
Polymorph energy (0 for the lowest one), eV/atom: 0.055
Energy relative to the elements, eV per atom: -2.482
Total magnetic moment, μB per formula unit: 0.53
V, Å³ per cell: 240.8

Cell lengths 8.9434, 8.9434, 8.9434 Å; angles 145.06, 143.78, 51.21 degrees
Closest atoms and distances in Å follow each position.
Fractional coordinates of all 18 atoms:
La1 0.8743 0.3808 0.4828  5 O 2.33-2.60
O1 0.7568 0.7545 0.4881  2 Cu 1.93-1.95
La2 0.3980 0.8808 0.5065  5 O 2.33-2.60
O2 0.5762 0.6077 0.9099  1 Cu 1.92
O3 0.1978 0.1077 0.0315  1 Cu 1.92
Cu1 0.0000 0.9900 0.9900  4 O 1.93-1.95
Cu2 0.2151 0.2722 0.9873  4 O 1.92-2.12
La3 0.1257 0.6085 0.5065  5 O 2.33-2.60
Cu3 0.5000 0.4900 0.9900  4 O 1.93-1.95
Cu4 0.7849 0.7722 0.0571  4 O 1.92-2.12
La4 0.6020 0.1085 0.4828  5 O 2.33-2.60
O4 0.7664 0.2545 0.9977  2 Cu 1.93-1.95
O5 0.2336 0.2312 0.4881  2 Cu 1.93-1.95
O6 0.2432 0.7312 0.9977  2 Cu 1.93-1.95
O7 0.8509 0.1574 0.5083  2 Cu 2.10-2.12, 2 La 2.33
O8 0.1491 0.6574 0.3065  2 Cu 2.10-2.12, 2 La 2.33
O9 0.8022 0.8337 0.9099  1 Cu 1.92
O10 0.4238 0.3337 0.0315  1 Cu 1.92